Entry 1:
First-principles (GGA+U) data for Li5Mn6B6O18 after structural relaxation, as listed in Materials Project.

Output
Magnetization, μB/f.u.: 29.0
ΔE_f, kJ/mol of formula units: -8360
Excess energy over the best structure of this formula in the dataset, eV/atom: 0.007
Crystal system: triclinic

Cell: 9.034 7.930 6.212 Å, 79.85 76.82 113.64°
Atoms (fractional coordinates):
1 Li 0.060 0.178 0.495
2 Li 0.715 0.499 0.162
3 Li 0.278 0.486 0.834
4 Li 0.944 0.819 0.501
5 Li 0.389 0.846 0.833
6 Mn 0.283 0.134 0.105
7 Mn 0.403 0.199 0.549
8 Mn 0.062 0.534 0.225
9 Mn 0.923 0.448 0.789
10 Mn 0.600 0.813 0.430
11 Mn 0.732 0.874 0.884
12 B 0.943 0.134 0.125
13 B 0.732 0.202 0.541
14 B 0.399 0.533 0.208
15 B 0.601 0.475 0.780
16 B 0.259 0.798 0.472
17 B 0.065 0.863 0.875
18 O 0.018 0.051 0.248
19 O 0.776 0.026 0.130
20 O 0.637 0.001 0.659
21 O 0.309 0.338 0.335
22 O 0.664 0.303 0.437
23 O 0.327 0.620 0.083
24 O 0.904 0.294 0.532
25 O 0.570 0.639 0.198
26 O 0.972 0.668 0.004
27 O 0.030 0.331 0.000
28 O 0.430 0.366 0.791
29 O 0.091 0.688 0.479
30 O 0.672 0.391 0.906
31 O 0.337 0.712 0.586
32 O 0.688 0.673 0.657
33 O 0.341 0.994 0.361
34 O 0.237 0.967 0.863
35 O 0.995 0.952 0.749



Entry 2:
First-principles (GGA+U) data for Li5Mn6B6O18 after structural relaxation, as listed in Materials Project.

Output
Magnetization, μB/f.u.: 29.0
ΔE_f, kJ/mol of formula units: -8341
Excess energy over the best structure of this formula in the dataset, eV/atom: 0.012
Crystal system: monoclinic

Cell: 8.848 8.848 8.231 Å, 62.83 62.83 42.20°
Atoms (fractional coordinates):
1 Li 0.391 0.391 0.015
2 Li 0.891 0.891 0.020
3 Li 0.602 0.602 0.277
4 Li 0.759 0.759 0.699
5 Li 0.259 0.259 0.701
6 Mn 0.693 0.189 0.632
7 Mn 0.189 0.693 0.632
8 Mn 0.993 0.486 0.369
9 Mn 0.486 0.993 0.369
10 Mn 0.317 0.821 0.000
11 Mn 0.821 0.317 0.000
12 B 0.416 0.416 0.333
13 B 0.909 0.909 0.340
14 B 0.508 0.999 0.992
15 B 0.582 0.582 0.668
16 B 0.999 0.508 0.992
17 B 0.084 0.084 0.675
18 O 0.560 0.060 0.076
19 O 0.060 0.560 0.076
20 O 0.470 0.470 0.140
21 O 0.968 0.968 0.149
22 O 0.814 0.814 0.413
23 O 0.320 0.320 0.417
24 O 0.429 0.890 0.101
25 O 0.890 0.429 0.101
26 O 0.460 0.460 0.440
27 O 0.944 0.944 0.464
28 O 0.544 0.047 0.798
29 O 0.047 0.544 0.798
30 O 0.636 0.636 0.475
31 O 0.141 0.141 0.485
32 O 0.485 0.485 0.746
33 O 0.988 0.988 0.750
34 O 0.622 0.622 0.782
35 O 0.122 0.122 0.794



Entry 3:
First-principles (GGA+U) data for Li2Mn3B3O9 after structural relaxation, as listed in Materials Project.

Output
Magnetization, μB/f.u.: 14.0
ΔE_f, kJ/mol of formula units: -4020
Excess energy over the best structure of this formula in the dataset, eV/atom: 0.012
Crystal system: triclinic

Cell: 5.259 6.135 12.864 Å, 94.10 89.24 115.30°
Atoms (fractional coordinates):
1 Li 0.035 0.892 0.079
2 Li 0.965 0.108 0.921
3 Li 0.712 0.243 0.405
4 Li 0.288 0.757 0.595
5 Mn 0.540 0.952 0.202
6 Mn 0.130 0.394 0.144
7 Mn 0.460 0.048 0.798
8 Mn 0.870 0.606 0.856
9 Mn 0.211 0.278 0.537
10 Mn 0.789 0.722 0.463
11 B 0.107 0.063 0.311
12 B 0.547 0.245 0.023
13 B 0.893 0.937 0.689
14 B 0.453 0.755 0.977
15 B 0.768 0.382 0.639
16 B 0.232 0.618 0.361
17 O 0.379 0.086 0.316
18 O 0.973 0.038 0.215
19 O 0.384 0.642 0.267
20 O 0.685 0.240 0.114
21 O 0.276 0.223 0.022
22 O 0.695 0.261 0.929
23 O 0.027 0.962 0.785
24 O 0.305 0.739 0.071
25 O 0.621 0.914 0.684
26 O 0.724 0.777 0.978
27 O 0.033 0.924 0.598
28 O 0.315 0.760 0.886
29 O 0.616 0.358 0.733
30 O 0.047 0.441 0.646
31 O 0.634 0.366 0.545
32 O 0.967 0.076 0.402
33 O 0.366 0.634 0.455
34 O 0.953 0.559 0.354



Entry 4:
First-principles (GGA+U) data for Li2Mn3B3O9 after structural relaxation, as listed in Materials Project.

Output
Magnetization, μB/f.u.: 14.0
ΔE_f, kJ/mol of formula units: -3988
Excess energy over the best structure of this formula in the dataset, eV/atom: 0.031
Crystal system: triclinic

Cell: 6.306 8.282 8.720 Å, 117.37 110.21 91.06°
Atoms (fractional coordinates):
1 Li 0.406 0.297 0.281
2 Li 0.109 0.975 0.689
3 Li 0.587 0.989 0.695
4 Li 0.283 0.721 0.021
5 Mn 0.157 0.003 0.331
6 Mn 0.688 0.012 0.370
7 Mn 0.997 0.353 0.006
8 Mn 0.502 0.377 0.997
9 Mn 0.304 0.604 0.623
10 Mn 0.844 0.659 0.700
11 B 0.005 0.001 0.988
12 B 0.490 0.999 0.987
13 B 0.108 0.328 0.675
14 B 0.572 0.332 0.659
15 B 0.915 0.667 0.351
16 B 0.402 0.672 0.335
17 O 0.184 0.257 0.799
18 O 0.648 0.268 0.786
19 O 0.998 0.212 0.488
20 O 0.485 0.215 0.468
21 O 0.082 0.185 0.122
22 O 0.530 0.193 0.082
23 O 0.153 0.523 0.753
24 O 0.585 0.524 0.732
25 O 0.437 0.584 0.441
26 O 0.988 0.616 0.490
27 O 0.812 0.532 0.162
28 O 0.323 0.560 0.139
29 O 0.399 0.899 0.791
30 O 0.893 0.944 0.796
31 O 0.444 0.862 0.414
32 O 0.951 0.853 0.404
33 O 0.039 0.861 0.036
34 O 0.532 0.909 0.090



Entry 5:
First-principles (GGA+U) data for Li5Mn6B6O18 after structural relaxation, as listed in Materials Project.

Output
Magnetization, μB/f.u.: 29.0
ΔE_f, kJ/mol of formula units: -8338
Excess energy over the best structure of this formula in the dataset, eV/atom: 0.013
Crystal system: monoclinic

Cell: 6.374 8.234 8.251 Å, 60.69 90.00 90.00°
Atoms (fractional coordinates):
1 Li 0.000 0.981 0.718
2 Li 0.500 0.984 0.717
3 Li 0.500 0.722 0.298
4 Li 0.000 0.301 0.978
5 Li 0.500 0.300 0.983
6 Mn 0.248 0.369 0.618
7 Mn 0.752 0.369 0.618
8 Mn 0.247 0.633 0.022
9 Mn 0.753 0.633 0.022
10 Mn 0.248 0.000 0.362
11 Mn 0.752 0.000 0.362
12 B 0.500 0.667 0.672
13 B 0.000 0.661 0.677
14 B 0.500 0.332 0.335
15 B 0.744 0.007 0.992
16 B 0.256 0.007 0.992
17 B 0.000 0.325 0.333
18 O 0.251 0.924 0.880
19 O 0.749 0.924 0.880
20 O 0.500 0.859 0.561
21 O 0.000 0.852 0.561
22 O 0.000 0.587 0.869
23 O 0.500 0.584 0.864
24 O 0.730 0.899 0.182
25 O 0.270 0.899 0.182
26 O 0.500 0.557 0.585
27 O 0.000 0.538 0.608
28 O 0.251 0.202 0.909
29 O 0.749 0.202 0.909
30 O 0.500 0.526 0.225
31 O 0.000 0.515 0.222
32 O 0.500 0.256 0.529
33 O 0.000 0.248 0.527
34 O 0.500 0.218 0.256
35 O 0.000 0.207 0.256



Entry 6:
First-principles (GGA+U) data for Li2Mn3B3O9 after structural relaxation, as listed in Materials Project.

Output
Magnetization, μB/f.u.: 14.0
ΔE_f, kJ/mol of formula units: -4005
Excess energy over the best structure of this formula in the dataset, eV/atom: 0.021
Crystal system: triclinic

Cell: 5.267 8.253 9.291 Å, 104.27 106.19 91.39°
Atoms (fractional coordinates):
1 Li 0.682 0.294 0.041
2 Li 0.338 0.957 0.361
3 Li 0.662 0.043 0.639
4 Li 0.318 0.706 0.959
5 Mn 0.790 0.034 0.215
6 Mn 0.881 0.633 0.120
7 Mn 0.551 0.311 0.444
8 Mn 0.449 0.689 0.556
9 Mn 0.119 0.367 0.880
10 Mn 0.210 0.966 0.785
11 B 0.222 0.144 0.104
12 B 0.437 0.523 0.222
13 B 0.106 0.174 0.554
14 B 0.894 0.826 0.446
15 B 0.563 0.477 0.778
16 B 0.778 0.856 0.896
17 O 0.965 0.162 0.100
18 O 0.684 0.825 0.017
19 O 0.250 0.570 0.102
20 O 0.407 0.104 0.228
21 O 0.682 0.490 0.209
22 O 0.368 0.500 0.350
23 O 0.904 0.203 0.433
24 O 0.970 0.846 0.317
25 O 0.359 0.153 0.546
26 O 0.641 0.847 0.454
27 O 0.030 0.154 0.683
28 O 0.096 0.797 0.567
29 O 0.632 0.500 0.650
30 O 0.318 0.510 0.791
31 O 0.593 0.896 0.772
32 O 0.750 0.430 0.898
33 O 0.316 0.175 0.983
34 O 0.035 0.838 0.900



Entry 7:
First-principles (GGA+U) data for LiMn2B2O6 after structural relaxation, as listed in Materials Project.

Output
Magnetization, μB/f.u.: 9.0
ΔE_f, kJ/mol of formula units: -2573
Excess energy over the best structure of this formula in the dataset, eV/atom: 0.008
Crystal system: triclinic

Cell: 5.294 5.794 17.947 Å, 83.84 82.20 66.09°
Atoms (fractional coordinates):
1 Li 0.066 0.903 0.767
2 Li 0.423 0.849 0.485
3 Li 0.427 0.348 0.987
4 Li 0.922 0.101 0.236
5 Mn 0.536 0.894 0.852
6 Mn 0.963 0.855 0.403
7 Mn 0.963 0.348 0.902
8 Mn 0.471 0.590 0.658
9 Mn 0.529 0.407 0.348
10 Mn 0.030 0.658 0.096
11 Mn 0.037 0.155 0.597
12 Mn 0.462 0.103 0.154
13 B 0.948 0.694 0.564
14 B 0.453 0.939 0.315
15 B 0.056 0.807 0.930
16 B 0.444 0.437 0.821
17 B 0.549 0.561 0.182
18 B 0.953 0.186 0.066
19 B 0.547 0.060 0.688
20 B 0.051 0.311 0.432
21 O 0.696 0.982 0.748
22 O 0.865 0.713 0.915
23 O 0.346 0.966 0.677
24 O 0.097 0.985 0.874
25 O 0.799 0.782 0.503
26 O 0.208 0.717 0.989
27 O 0.862 0.545 0.619
28 O 0.373 0.802 0.377
29 O 0.649 0.511 0.834
30 O 0.169 0.757 0.574
31 O 0.594 0.748 0.131
32 O 0.294 0.533 0.760
33 O 0.695 0.463 0.241
34 O 0.376 0.279 0.878
35 O 0.863 0.218 0.413
36 O 0.362 0.467 0.162
37 O 0.596 0.235 0.634
38 O 0.095 0.499 0.382
39 O 0.805 0.256 0.005
40 O 0.201 0.212 0.491
41 O 0.874 0.049 0.128
42 O 0.678 0.000 0.321
43 O 0.174 0.253 0.071
44 O 0.300 0.020 0.255



Entry 8:
First-principles (GGA+U) data for LiMn2B2O6 after structural relaxation, as listed in Materials Project.

Output
Magnetization, μB/f.u.: 9.0
ΔE_f, kJ/mol of formula units: -2561
Excess energy over the best structure of this formula in the dataset, eV/atom: 0.019
Crystal system: triclinic

Cell: 5.311 5.769 9.148 Å, 103.22 90.07 114.09°
Atoms (fractional coordinates):
1 Li 0.819 0.331 0.218
2 Li 0.181 0.669 0.782
3 Mn 0.288 0.255 0.051
4 Mn 0.786 0.248 0.561
5 Mn 0.712 0.745 0.949
6 Mn 0.214 0.752 0.439
7 B 0.300 0.254 0.376
8 B 0.700 0.746 0.624
9 B 0.805 0.259 0.888
10 B 0.195 0.741 0.112
11 O 0.368 0.151 0.487
12 O 0.448 0.271 0.255
13 O 0.604 0.353 0.915
14 O 0.089 0.344 0.397
15 O 0.863 0.151 0.003
16 O 0.552 0.729 0.745
17 O 0.960 0.294 0.771
18 O 0.632 0.849 0.513
19 O 0.396 0.647 0.085
20 O 0.911 0.656 0.603
21 O 0.040 0.706 0.229
22 O 0.137 0.849 0.997